A plane-wave DFT calculation with GGA+U was carried out for crystalline Li9Co7O16 at its relaxed geometry. Values from VASP.

Structure (Quantum ESPRESSO input):
```
&SYSTEM
  ibrav = 0, nat = 32, ntyp = 3
/
ATOMIC_SPECIES
Li 6.94 Li.upf
Co 58.93 Co.upf
O 16.00 O.upf
CELL_PARAMETERS angstrom
5.892 0.000 0.000
2.772 7.116 0.000
2.894 2.311 6.759
ATOMIC_POSITIONS angstrom
Li 0.000 0.000 0.000
Li 2.833 4.713 3.379
Li 4.290 4.727 5.889
Li 5.729 7.083 5.073
Li 4.336 2.396 4.230
Li 5.779 4.713 3.379
Li 7.223 7.031 2.528
Li 5.830 2.344 1.686
Li 7.268 4.700 0.870
Co 4.249 7.077 2.566
Co 2.890 2.413 1.703
Co 4.294 4.737 0.884
Co 2.946 0.000 0.000
Co 7.265 4.690 5.875
Co 8.668 7.014 5.055
Co 7.309 2.350 4.193
O 2.979 5.993 1.718
O 4.251 6.032 4.103
O 1.540 1.111 0.988
O 2.737 1.191 3.364
O 2.908 3.519 0.007
O 4.274 3.479 2.432
O 7.256 8.245 6.010
O 5.640 6.002 1.732
O 5.918 3.425 5.027
O 4.302 1.182 0.749
O 7.285 5.948 4.327
O 8.651 5.908 6.752
O 8.821 8.236 3.395
O 10.019 8.316 5.770
O 7.307 3.395 2.655
O 8.580 3.434 5.041
```

Output
- Relative energy among the computed polymorphs: 2.11 eV/f.u.
- Energy of formation: -1.689 eV/atom


A plane-wave DFT calculation with GGA+U was carried out for crystalline V2CoP2O10 at its relaxed geometry. Values from VASP.

Structure (Quantum ESPRESSO input):
```
&SYSTEM
  ibrav = 0, nat = 30, ntyp = 4
/
ATOMIC_SPECIES
V 50.94 V.upf
Co 58.93 Co.upf
P 30.97 P.upf
O 16.00 O.upf
CELL_PARAMETERS angstrom
7.361 0.000 0.000
0.000 7.456 0.000
-3.682 0.000 6.447
ATOMIC_POSITIONS angstrom
V 1.634 1.675 0.240
V -0.208 2.054 3.463
V 3.886 5.403 2.984
V 2.045 5.782 6.208
Co 1.839 0.000 3.224
Co 3.681 3.728 0.000
P 0.909 4.626 1.611
P -0.932 6.559 4.835
P 4.611 0.898 1.613
P 2.770 2.830 4.836
O -0.058 5.546 0.861
O -1.899 5.639 4.084
O 0.166 3.769 2.642
O -1.676 7.415 5.865
O 0.987 1.199 1.749
O -0.854 2.529 4.973
O -0.138 0.036 3.857
O 1.703 3.693 0.634
O 1.955 5.559 2.291
O 0.114 5.625 5.514
O 3.565 1.831 0.933
O 1.723 1.897 4.156
O 1.975 3.764 5.813
O 3.817 7.421 2.590
O 4.532 4.927 1.474
O 2.691 6.257 4.698
O 5.354 0.041 0.582
O 3.513 3.687 3.805
O 5.577 1.818 2.363
O 3.736 1.910 5.586
```

Output
- Relative energy among the computed polymorphs: 0.09 eV/f.u.
- Energy of formation: -2.472 eV/atom


A plane-wave DFT calculation with GGA+U was carried out for crystalline CaCrP2O7 at its relaxed geometry. Values from VASP.

Structure (Quantum ESPRESSO input):
```
&SYSTEM
  ibrav = 0, nat = 44, ntyp = 4
/
ATOMIC_SPECIES
O 16.00 O.upf
Cr 52.00 Cr.upf
P 30.97 P.upf
Ca 40.08 Ca.upf
CELL_PARAMETERS angstrom
-4.425 -3.487 -2.566
-1.162 -5.434 3.575
-10.267 5.615 9.001
ATOMIC_POSITIONS angstrom
O -5.880 -4.374 2.648
O -7.850 -0.238 5.788
O -12.777 1.451 6.861
O -10.359 -3.970 7.747
O -8.210 -1.950 7.648
O -13.136 -0.260 8.722
O -3.077 -4.757 3.148
O -7.640 -6.210 3.025
O -4.623 0.031 4.552
O -8.214 2.904 6.985
O -3.080 0.097 2.485
O -4.822 -4.431 -1.053
O -5.899 -1.682 6.562
O -11.014 -1.566 7.148
O -9.955 -1.624 3.448
O -6.097 -6.144 0.957
O -7.643 -1.356 2.361
O -11.032 1.125 11.062
O -12.773 -3.403 7.525
O -10.628 3.471 6.763
O -9.973 1.068 7.362
O -11.230 -3.337 5.457
O -8.003 -3.068 4.222
O -4.840 -1.740 2.861
O -5.225 -6.777 3.247
O -5.495 0.664 2.262
O -9.757 2.838 9.052
O -2.717 -3.046 1.287
Cr -7.344 1.674 5.032
Cr -2.210 -1.133 0.532
Cr -8.510 -4.980 4.977
Cr -13.643 -2.173 9.478
P -13.753 0.515 7.549
P -4.483 -0.266 2.974
P -2.100 -3.821 2.460
P -6.237 -5.847 2.535
P -8.620 -2.292 3.049
P -11.371 -3.040 7.035
P -7.234 -1.014 6.961
P -9.616 2.541 7.475
Ca -5.315 -2.987 0.860
Ca -10.448 -0.180 5.361
Ca -10.538 -0.319 9.149
Ca -5.405 -3.126 4.649
```

Output
- Relative energy among the computed polymorphs: 0.00 eV/f.u.
- Energy of formation: -2.872 eV/atom


A plane-wave DFT calculation with GGA+U was carried out for crystalline Li2NiP4O12 at its relaxed geometry. Values from VASP.

Structure (Quantum ESPRESSO input):
```
&SYSTEM
  ibrav = 0, nat = 76, ntyp = 4
/
ATOMIC_SPECIES
O 16.00 O.upf
Li 6.94 Li.upf
P 30.97 P.upf
Ni 58.69 Ni.upf
CELL_PARAMETERS angstrom
-2.539 2.434 -8.421
-8.387 -8.359 5.086
-7.491 4.401 3.531
ATOMIC_POSITIONS angstrom
O -14.907 -2.879 7.627
O -4.468 2.425 -4.743
O -9.975 5.154 -4.385
O -11.166 -0.045 -3.422
O -9.608 3.222 -0.192
O -7.425 2.126 -1.402
O -7.334 -1.261 -1.637
O -6.701 0.894 -3.576
O -8.819 -3.649 -2.402
O -9.111 -3.760 2.365
O -11.661 -0.734 -0.619
O -5.729 -1.392 0.331
O -13.402 -1.576 -2.256
O -1.327 -0.021 -0.833
O -11.123 -5.609 3.607
O -6.943 3.409 1.233
O -4.550 -0.557 -4.409
O -6.341 3.396 -3.277
O -11.018 -0.300 1.803
O -10.774 -5.213 -1.948
O -9.438 0.279 -0.158
O -13.726 -2.043 2.888
O -14.036 -3.732 -0.317
O -16.138 -2.191 1.161
O -14.126 -0.343 -0.081
O -12.431 -3.863 1.652
O -4.593 -0.196 2.254
O -6.153 -3.463 -0.978
O -10.744 2.025 -2.114
O -9.021 -7.150 2.128
O -8.388 -4.993 0.189
O -6.549 -1.759 2.707
O -4.960 1.737 -1.940
O -11.250 -3.027 -3.088
O -11.294 -2.666 3.574
O -4.423 -3.139 2.287
O -13.041 0.926 -1.958
O -9.176 1.878 2.399
O -11.564 1.659 0.262
O -8.026 -2.492 0.488
O -2.410 -1.291 1.043
O -7.025 0.427 1.567
O -6.646 -4.152 1.826
O -9.810 -0.278 4.338
O -4.317 2.171 0.482
O -8.542 -1.284 -4.172
O -9.331 5.588 -1.963
O -13.250 -4.230 4.027
Li -9.339 -0.919 2.564
Li -13.267 -5.490 7.386
Li -10.792 -6.475 1.410
Li -9.105 -0.586 -2.355
Li -11.581 0.397 3.621
Li -6.863 -1.903 -3.411
Li -16.040 -3.391 3.885
Li -5.178 3.984 -7.176
P -6.826 -2.169 -0.565
P -8.151 -3.952 1.238
P -6.465 1.936 -2.527
P -10.165 -4.038 -2.927
P -10.842 0.206 0.409
P -5.940 -0.584 1.728
P -11.840 1.248 -3.010
P -9.156 6.094 -3.357
P -5.827 -3.212 2.853
P -13.166 -0.535 -1.207
P -13.528 -4.640 0.755
P -4.141 2.677 -0.912
P -16.004 -3.656 6.731
P -8.941 2.919 3.448
P -12.641 -3.054 3.049
P -10.955 2.834 -0.717
Ni -5.709 0.855 -5.441
Ni -8.183 1.839 0.533
Ni -14.885 -0.630 1.855
Ni -9.868 -4.049 4.301
```

Output
- Relative energy among the computed polymorphs: 0.97 eV/f.u.
- Largest piezoelectric modulus: 1.28 C/m²
- Energy of formation: -2.489 eV/atom